No. 1
The following is a GGA+U calculation of an optimized crystal structure of BaLa3TiCr3O12, from the Materials Project.

Summary:
**Offset from the most stable computed form**: 0.020 eV/atom
**Electronic total energy**: -8.158 eV/atom
**Energy relative to the elements**: -311 kJ per mole of atoms

```
data_BaLa3TiCr3O12
_chemical_formula_sum 'Ba2 La6 Ti2 Cr6 O24'
_symmetry_space_group_name_H-M 'P 1'
_symmetry_Int_Tables_number 1
_cell_length_a 5.618
_cell_length_b 7.897
_cell_length_c 11.801
_cell_angle_alpha 70.45
_cell_angle_beta 90.00
_cell_angle_gamma 90.00
loop_
_symmetry_equiv_pos_as_xyz
'x,y,z'
loop_
_atom_site_label
_atom_site_fract_x
_atom_site_fract_y
_atom_site_fract_z
Ba1 0.500 0.250 0.000
Ba2 0.500 0.750 0.000
La1 0.500 0.000 0.500
La2 0.500 0.500 0.500
La3 0.000 0.122 0.256
La4 0.000 0.622 0.256
La5 0.000 0.878 0.744
La6 0.000 0.378 0.744
Ti1 0.000 0.500 0.000
Ti2 0.000 0.000 0.000
Cr1 0.000 0.250 0.500
Cr2 0.500 0.874 0.252
Cr3 0.500 0.626 0.748
Cr4 0.000 0.750 0.500
Cr5 0.500 0.374 0.252
Cr6 0.500 0.126 0.748
O1 0.000 0.000 0.500
O2 0.000 0.500 0.500
O3 0.000 0.250 0.000
O4 0.000 0.750 0.000
O5 0.500 0.881 0.739
O6 0.500 0.381 0.739
O7 0.500 0.119 0.261
O8 0.500 0.619 0.261
O9 0.249 0.812 0.376
O10 0.249 0.312 0.376
O11 0.751 0.188 0.624
O12 0.751 0.688 0.624
O13 0.249 0.688 0.624
O14 0.249 0.188 0.624
O15 0.751 0.312 0.376
O16 0.751 0.812 0.376
O17 0.236 0.065 0.870
O18 0.236 0.565 0.870
O19 0.764 0.935 0.130
O20 0.764 0.435 0.130
O21 0.764 0.565 0.870
O22 0.764 0.065 0.870
O23 0.236 0.435 0.130
O24 0.236 0.935 0.130
```



No. 2
The following is a GGA+U calculation of an optimized crystal structure of V2ZnP2O10, from the Materials Project.

Summary:
**Electronic total energy**: -7.076 eV/atom
**Energy relative to the elements**: -236 kJ per mole of atoms

```
data_V2ZnP2O10
_chemical_formula_sum 'V4 Zn2 P4 O20'
_symmetry_space_group_name_H-M 'P 1'
_symmetry_Int_Tables_number 1
_cell_length_a 9.893
_cell_length_b 8.896
_cell_length_c 6.688
_cell_angle_alpha 77.37
_cell_angle_beta 61.35
_cell_angle_gamma 41.28
loop_
_symmetry_equiv_pos_as_xyz
'x,y,z'
loop_
_atom_site_label
_atom_site_fract_x
_atom_site_fract_y
_atom_site_fract_z
V1 0.879 0.382 0.389
V2 0.350 0.389 0.382
V3 0.868 0.371 0.900
V4 0.861 0.900 0.371
Zn1 0.506 0.994 0.994
Zn2 0.256 0.744 0.744
P1 0.036 0.548 0.963
P2 0.702 0.214 0.797
P3 0.453 0.963 0.548
P4 0.287 0.797 0.214
O1 0.587 0.721 0.444
O2 0.657 0.179 0.338
O3 0.307 0.662 0.415
O4 0.806 0.002 0.663
O5 0.216 0.083 0.757
O6 0.427 0.102 0.349
O7 0.071 0.593 0.423
O8 0.827 0.338 0.179
O9 0.912 0.423 0.593
O10 0.167 0.034 0.306
O11 0.248 0.444 0.721
O12 0.493 0.306 0.034
O13 0.944 0.757 0.083
O14 0.148 0.823 0.128
O15 0.122 0.349 0.102
O16 0.901 0.128 0.823
O17 0.835 0.634 0.943
O18 0.616 0.415 0.662
O19 0.529 0.663 0.002
O20 0.588 0.943 0.634
```



No. 3
The following is a GGA+U calculation of an optimized crystal structure of LiMnF4, from the Materials Project.

Summary:
**Electronic total energy**: -5.457 eV/atom
**Energy relative to the elements**: -282 kJ per mole of atoms

```
data_LiMnF4
_chemical_formula_sum 'Li4 Mn4 F16'
_symmetry_space_group_name_H-M 'P 1'
_symmetry_Int_Tables_number 1
_cell_length_a 4.627
_cell_length_b 5.111
_cell_length_c 11.359
_cell_angle_alpha 90.00
_cell_angle_beta 90.00
_cell_angle_gamma 90.00
loop_
_symmetry_equiv_pos_as_xyz
'x,y,z'
loop_
_atom_site_label
_atom_site_fract_x
_atom_site_fract_y
_atom_site_fract_z
Li1 0.000 0.250 0.058
Li2 0.000 0.750 0.942
Li3 0.500 0.250 0.558
Li4 0.500 0.750 0.442
Mn1 0.000 0.250 0.322
Mn2 0.000 0.750 0.678
Mn3 0.500 0.250 0.822
Mn4 0.500 0.750 0.178
F1 0.219 0.406 0.197
F2 0.219 0.906 0.803
F3 0.257 0.902 0.065
F4 0.257 0.402 0.935
F5 0.243 0.902 0.565
F6 0.243 0.402 0.435
F7 0.281 0.906 0.303
F8 0.281 0.406 0.697
F9 0.719 0.094 0.697
F10 0.719 0.594 0.303
F11 0.757 0.098 0.435
F12 0.757 0.598 0.565
F13 0.743 0.598 0.065
F14 0.743 0.098 0.935
F15 0.781 0.094 0.197
F16 0.781 0.594 0.803
```



No. 4
The following is a GGA+U calculation of an optimized crystal structure of CoAgF3, from the Materials Project.

Summary:
**Electronic total energy**: -4.167 eV/atom
**Energy relative to the elements**: -158 kJ per mole of atoms

```
data_CoAgF3
_chemical_formula_sum 'Co1 Ag1 F3'
_symmetry_space_group_name_H-M 'P 1'
_symmetry_Int_Tables_number 1
_cell_length_a 4.045
_cell_length_b 4.045
_cell_length_c 4.045
_cell_angle_alpha 90.00
_cell_angle_beta 90.00
_cell_angle_gamma 90.00
loop_
_symmetry_equiv_pos_as_xyz
'x,y,z'
loop_
_atom_site_label
_atom_site_fract_x
_atom_site_fract_y
_atom_site_fract_z
Co1 0.000 0.000 0.000
Ag1 0.500 0.500 0.500
F1 0.500 0.000 0.000
F2 0.000 0.500 0.000
F3 0.000 0.000 0.500
```



No. 5
The following is a GGA+U calculation of an optimized crystal structure of Cs2V5H5O16, from the Materials Project.

Summary:
**Electronic total energy**: -6.496 eV/atom
**Energy relative to the elements**: -200 kJ per mole of atoms

```
data_Cs2V5H5O16
_chemical_formula_sum 'Cs8 V20 H20 O64'
_symmetry_space_group_name_H-M 'P 1'
_symmetry_Int_Tables_number 1
_cell_length_a 14.429
_cell_length_b 10.282
_cell_length_c 11.804
_cell_angle_alpha 72.14
_cell_angle_beta 90.00
_cell_angle_gamma 90.00
loop_
_symmetry_equiv_pos_as_xyz
'x,y,z'
loop_
_atom_site_label
_atom_site_fract_x
_atom_site_fract_y
_atom_site_fract_z
Cs1 0.129 0.311 0.047
Cs2 0.629 0.689 0.453
Cs3 0.871 0.689 0.953
Cs4 0.371 0.311 0.547
Cs5 0.771 0.072 0.089
Cs6 0.271 0.928 0.411
Cs7 0.229 0.928 0.911
Cs8 0.729 0.072 0.589
V1 0.399 0.314 0.926
V2 0.899 0.686 0.574
V3 0.601 0.686 0.074
V4 0.101 0.314 0.426
V5 0.389 0.335 0.180
V6 0.889 0.665 0.320
V7 0.611 0.665 0.820
V8 0.111 0.335 0.680
V9 0.587 0.376 0.778
V10 0.087 0.624 0.722
V11 0.413 0.624 0.222
V12 0.913 0.376 0.278
V13 0.585 0.392 0.038
V14 0.085 0.608 0.462
V15 0.415 0.608 0.962
V16 0.915 0.392 0.538
V17 0.429 0.601 0.703
V18 0.929 0.399 0.797
V19 0.571 0.399 0.297
V20 0.071 0.601 0.203
H1 0.521 0.087 0.136
H2 0.021 0.913 0.364
H3 0.479 0.913 0.864
H4 0.979 0.087 0.636
H5 0.568 0.005 0.325
H6 0.068 0.995 0.175
H7 0.432 0.995 0.675
H8 0.932 0.005 0.825
H9 0.467 0.074 0.837
H10 0.967 0.926 0.663
H11 0.533 0.926 0.163
H12 0.033 0.074 0.337
H13 0.276 0.455 0.769
H14 0.776 0.545 0.731
H15 0.724 0.545 0.231
H16 0.224 0.455 0.269
H17 0.531 0.070 0.419
H18 0.031 0.930 0.081
H19 0.469 0.930 0.581
H20 0.969 0.070 0.919
O1 0.318 0.198 0.957
O2 0.818 0.802 0.543
O3 0.682 0.802 0.043
O4 0.182 0.198 0.457
O5 0.484 0.253 0.843
O6 0.984 0.747 0.657
O7 0.516 0.747 0.157
O8 0.016 0.253 0.343
O9 0.345 0.442 0.780
O10 0.845 0.558 0.720
O11 0.655 0.558 0.220
O12 0.155 0.442 0.280
O13 0.472 0.268 0.071
O14 0.972 0.732 0.429
O15 0.528 0.732 0.929
O16 0.028 0.268 0.571
O17 0.346 0.442 0.015
O18 0.846 0.558 0.485
O19 0.654 0.558 0.985
O20 0.154 0.442 0.515
O21 0.499 0.495 0.890
O22 0.999 0.505 0.610
O23 0.501 0.505 0.110
O24 0.001 0.495 0.390
O25 0.310 0.214 0.215
O26 0.810 0.786 0.285
O27 0.690 0.786 0.785
O28 0.190 0.214 0.715
O29 0.474 0.278 0.301
O30 0.974 0.722 0.199
O31 0.526 0.722 0.699
O32 0.026 0.278 0.801
O33 0.339 0.467 0.240
O34 0.839 0.533 0.260
O35 0.661 0.533 0.760
O36 0.161 0.467 0.740
O37 0.646 0.287 0.710
O38 0.146 0.713 0.790
O39 0.354 0.713 0.290
O40 0.854 0.287 0.210
O41 0.506 0.480 0.662
O42 0.006 0.520 0.838
O43 0.494 0.520 0.338
O44 0.994 0.480 0.162
O45 0.634 0.311 0.943
O46 0.134 0.689 0.557
O47 0.366 0.689 0.057
O48 0.866 0.311 0.443
O49 0.368 0.679 0.823
O50 0.868 0.321 0.677
O51 0.632 0.321 0.177
O52 0.132 0.679 0.323
O53 0.372 0.672 0.581
O54 0.872 0.328 0.919
O55 0.628 0.328 0.419
O56 0.128 0.672 0.081
O57 0.060 0.992 0.323
O58 0.560 0.008 0.177
O59 0.940 0.008 0.677
O60 0.440 0.992 0.823
O61 0.571 0.996 0.412
O62 0.071 0.004 0.088
O63 0.429 0.004 0.588
O64 0.929 0.996 0.912
```



No. 6
The following is a GGA+U calculation of an optimized crystal structure of Li2CrFeO4, from the Materials Project.

Summary:
**Offset from the most stable computed form**: 0.000 eV/atom
**Electronic total energy**: -6.518 eV/atom
**Energy relative to the elements**: -210 kJ per mole of atoms

```
data_Li2CrFeO4
_chemical_formula_sum 'Li6 Cr3 Fe3 O12'
_symmetry_space_group_name_H-M 'P 1'
_symmetry_Int_Tables_number 1
_cell_length_a 5.168
_cell_length_b 5.952
_cell_length_c 7.876
_cell_angle_alpha 100.88
_cell_angle_beta 109.05
_cell_angle_gamma 89.94
loop_
_symmetry_equiv_pos_as_xyz
'x,y,z'
loop_
_atom_site_label
_atom_site_fract_x
_atom_site_fract_y
_atom_site_fract_z
Li1 0.498 0.748 0.499
Li2 0.502 0.252 0.501
Li3 0.499 0.915 0.166
Li4 0.500 0.417 0.167
Li5 0.501 0.085 0.834
Li6 0.500 0.583 0.833
Cr1 0.000 0.500 0.500
Cr2 0.000 0.666 0.167
Cr3 0.000 0.334 0.833
Fe1 0.000 0.000 0.500
Fe2 0.001 0.166 0.166
Fe3 0.999 0.834 0.834
O1 0.771 0.045 0.673
O2 0.774 0.543 0.671
O3 0.229 0.789 0.662
O4 0.225 0.291 0.661
O5 0.775 0.709 0.339
O6 0.229 0.955 0.327
O7 0.771 0.211 0.338
O8 0.772 0.875 0.006
O9 0.226 0.457 0.329
O10 0.775 0.377 0.005
O11 0.225 0.623 0.995
O12 0.228 0.125 0.994
```



No. 7
The following is a GGA+U calculation of an optimized crystal structure of NbFe5P6O24, from the Materials Project.

Summary:
**Electronic total energy**: -7.336 eV/atom
**Energy relative to the elements**: -236 kJ per mole of atoms

```
data_NbFe5P6O24
_chemical_formula_sum 'Nb1 Fe5 P6 O24'
_symmetry_space_group_name_H-M 'P 1'
_symmetry_Int_Tables_number 1
_cell_length_a 8.586
_cell_length_b 8.586
_cell_length_c 8.586
_cell_angle_alpha 61.02
_cell_angle_beta 61.02
_cell_angle_gamma 61.02
loop_
_symmetry_equiv_pos_as_xyz
'x,y,z'
loop_
_atom_site_label
_atom_site_fract_x
_atom_site_fract_y
_atom_site_fract_z
Nb1 0.858 0.858 0.858
Fe1 0.004 0.004 0.004
Fe2 0.357 0.357 0.357
Fe3 0.501 0.501 0.501
Fe4 0.145 0.145 0.145
Fe5 0.643 0.643 0.643
P1 0.747 0.045 0.451
P2 0.045 0.451 0.747
P3 0.451 0.747 0.045
P4 0.538 0.256 0.957
P5 0.957 0.538 0.256
P6 0.256 0.957 0.538
O1 0.889 0.497 0.681
O2 0.497 0.681 0.889
O3 0.681 0.889 0.497
O4 0.909 0.060 0.260
O5 0.818 0.993 0.615
O6 0.592 0.240 0.446
O7 0.060 0.260 0.909
O8 0.240 0.446 0.592
O9 0.389 0.180 0.998
O10 0.446 0.592 0.240
O11 0.739 0.093 0.937
O12 0.998 0.389 0.180
O13 0.993 0.615 0.818
O14 0.260 0.909 0.060
O15 0.558 0.410 0.760
O16 0.615 0.818 0.993
O17 0.760 0.558 0.410
O18 0.937 0.739 0.093
O19 0.410 0.760 0.558
O20 0.180 0.998 0.389
O21 0.093 0.937 0.739
O22 0.315 0.113 0.506
O23 0.506 0.315 0.113
O24 0.113 0.506 0.315
```



No. 8
The following is a GGA+U calculation of an optimized crystal structure of HfMg30VO32, from the Materials Project.

Summary:
**Electronic total energy**: -6.110 eV/atom
**Energy relative to the elements**: -285 kJ per mole of atoms

```
data_HfMg30VO32
_chemical_formula_sum 'Hf1 Mg30 V1 O32'
_symmetry_space_group_name_H-M 'P 1'
_symmetry_Int_Tables_number 1
_cell_length_a 8.597
_cell_length_b 8.597
_cell_length_c 8.601
_cell_angle_alpha 90.00
_cell_angle_beta 90.00
_cell_angle_gamma 90.00
loop_
_symmetry_equiv_pos_as_xyz
'x,y,z'
loop_
_atom_site_label
_atom_site_fract_x
_atom_site_fract_y
_atom_site_fract_z
Hf1 0.000 0.000 0.500
Mg1 0.000 0.500 0.000
Mg2 0.000 0.500 0.500
Mg3 0.500 0.000 0.000
Mg4 0.500 0.000 0.500
Mg5 0.500 0.500 0.000
Mg6 0.500 0.500 0.500
Mg7 0.000 0.254 0.245
Mg8 0.000 0.254 0.755
Mg9 0.000 0.746 0.245
Mg10 0.000 0.746 0.755
Mg11 0.500 0.250 0.249
Mg12 0.500 0.250 0.751
Mg13 0.500 0.750 0.249
Mg14 0.500 0.750 0.751
Mg15 0.254 0.000 0.245
Mg16 0.254 0.000 0.755
Mg17 0.250 0.500 0.249
Mg18 0.250 0.500 0.751
Mg19 0.746 0.000 0.245
Mg20 0.746 0.000 0.755
Mg21 0.750 0.500 0.249
Mg22 0.750 0.500 0.751
Mg23 0.251 0.251 0.000
Mg24 0.255 0.255 0.500
Mg25 0.251 0.749 0.000
Mg26 0.255 0.745 0.500
Mg27 0.749 0.251 0.000
Mg28 0.745 0.255 0.500
Mg29 0.749 0.749 0.000
Mg30 0.745 0.745 0.500
V1 0.000 0.000 0.000
O1 0.256 0.000 0.000
O2 0.251 0.000 0.500
O3 0.250 0.500 0.000
O4 0.250 0.500 0.500
O5 0.744 0.000 0.000
O6 0.749 0.000 0.500
O7 0.750 0.500 0.000
O8 0.750 0.500 0.500
O9 0.249 0.249 0.251
O10 0.249 0.249 0.749
O11 0.249 0.751 0.251
O12 0.249 0.751 0.749
O13 0.751 0.249 0.251
O14 0.751 0.249 0.749
O15 0.751 0.751 0.251
O16 0.751 0.751 0.749
O17 0.000 0.000 0.248
O18 0.000 0.000 0.752
O19 0.000 0.500 0.251
O20 0.000 0.500 0.749
O21 0.500 0.000 0.251
O22 0.500 0.000 0.749
O23 0.500 0.500 0.251
O24 0.500 0.500 0.749
O25 0.000 0.256 0.000
O26 0.000 0.251 0.500
O27 0.000 0.744 0.000
O28 0.000 0.749 0.500
O29 0.500 0.250 0.000
O30 0.500 0.250 0.500
O31 0.500 0.750 0.000
O32 0.500 0.750 0.500
```



No. 9
The following is a GGA+U calculation of an optimized crystal structure of Li2Fe3O10, from the Materials Project.

Summary:
**Electronic total energy**: -5.515 eV/atom
**Energy relative to the elements**: -80 kJ per mole of atoms

```
data_Li2Fe3O10
_chemical_formula_sum 'Li2 Fe3 O10'
_symmetry_space_group_name_H-M 'P 1'
_symmetry_Int_Tables_number 1
_cell_length_a 4.926
_cell_length_b 5.078
_cell_length_c 7.777
_cell_angle_alpha 98.10
_cell_angle_beta 104.16
_cell_angle_gamma 104.88
loop_
_symmetry_equiv_pos_as_xyz
'x,y,z'
loop_
_atom_site_label
_atom_site_fract_x
_atom_site_fract_y
_atom_site_fract_z
Li1 0.323 0.758 0.405
Li2 0.677 0.242 0.595
Fe1 0.000 0.500 0.000
Fe2 0.678 0.879 0.881
Fe3 0.322 0.121 0.119
O1 0.056 0.164 0.892
O2 0.336 0.762 0.981
O3 0.060 0.127 0.523
O4 0.498 0.900 0.666
O5 0.241 0.451 0.208
O6 0.759 0.549 0.792
O7 0.502 0.100 0.334
O8 0.940 0.873 0.477
O9 0.664 0.238 0.019
O10 0.944 0.836 0.108
```



No. 10
The following is a GGA+U calculation of an optimized crystal structure of Pr2MnRhO6, from the Materials Project.

Summary:
**Electronic total energy**: -7.693 eV/atom
**Energy relative to the elements**: -260 kJ per mole of atoms

```
data_Pr2MnRhO6
_chemical_formula_sum 'Pr4 Mn2 Rh2 O12'
_symmetry_space_group_name_H-M 'P 1'
_symmetry_Int_Tables_number 1
_cell_length_a 5.897
_cell_length_b 5.589
_cell_length_c 9.380
_cell_angle_alpha 55.04
_cell_angle_beta 90.00
_cell_angle_gamma 90.00
loop_
_symmetry_equiv_pos_as_xyz
'x,y,z'
loop_
_atom_site_label
_atom_site_fract_x
_atom_site_fract_y
_atom_site_fract_z
Pr1 0.567 0.729 0.751
Pr2 0.067 0.271 0.749
Pr3 0.433 0.271 0.249
Pr4 0.933 0.729 0.251
Mn1 0.500 0.000 0.000
Mn2 0.000 0.000 0.500
Rh1 0.500 0.500 0.500
Rh2 0.000 0.500 0.000
O1 0.797 0.248 0.950
O2 0.297 0.752 0.550
O3 0.201 0.354 0.452
O4 0.701 0.646 0.048
O5 0.203 0.752 0.050
O6 0.703 0.248 0.450
O7 0.799 0.646 0.548
O8 0.299 0.354 0.952
O9 0.967 0.857 0.745
O10 0.467 0.143 0.755
O11 0.033 0.143 0.255
O12 0.533 0.857 0.245
```